Entry 1:
Na4CrO4 GGA+U relaxed; theoretical density = 2.7 g cm⁻³; calculated total energy = -94.31 eV per cell; calculated volume = 14.2 Å³ per atom
1.0
5.7620 0.0000 0.0000
2.1241 5.3642 0.0000
2.7945 0.2933 8.2763
Na Cr O
8 2 8
direct
0.0208 0.2648 0.4328
0.1074 0.7317 0.1825
0.2587 0.2460 0.0120
0.4464 0.2434 0.6006
0.5536 0.7566 0.3994
0.7413 0.7540 0.9880
0.8926 0.2683 0.8175
0.9792 0.7352 0.5672
0.3438 0.7209 0.7577
0.6562 0.2791 0.2423
0.1377 0.5291 0.8038
0.2045 0.9728 0.6241
0.3363 0.4717 0.3614
0.3504 0.8457 0.9313
0.6496 0.1543 0.0687
0.6637 0.5283 0.6386
0.7955 0.0272 0.3759
0.8623 0.4709 0.1962

Entry 2:
NaCrO2 GGA+U relaxed; theoretical density = 4.1 g cm⁻³; energy above the most stable polymorph in this dataset = 0 meV per atom; calculated total energy = -106.16 eV per cell; calculated volume = 10.7 Å³ per atom
1.0
-4.8225 1.8090 1.0749
0.6922 1.1506 5.5052
1.2868 5.1546 -2.9027
Na Cr O
4 4 8
direct
0.5000 0.0000 0.7500
0.5000 0.0000 0.2500
0.0000 0.0000 0.5000
0.0000 0.0000 0.0000
0.7500 0.5000 0.8768
0.2500 0.5000 0.6232
0.7500 0.5000 0.3768
0.2500 0.5000 0.1232
0.1161 0.3009 0.8241
0.1161 0.3009 0.3241
0.6161 0.3009 0.5764
0.6161 0.3009 0.0764
0.3839 0.6991 0.9236
0.3839 0.6991 0.4236
0.8839 0.6991 0.6759
0.8839 0.6991 0.1759

Entry 3:
Na2CrO4 GGA+U relaxed; theoretical density = 2.7 g cm⁻³; calculated total energy = -165.05 eV per cell; calculated volume = 14.4 Å³ per atom
1.0
-0.2611 5.2251 1.8835
-2.8167 -3.7174 3.0274
11.6935 -2.3138 8.0391
Na Cr O
8 4 16
direct
0.1830 0.8170 0.3750
0.1830 0.8170 0.8750
0.8170 0.1830 0.1250
0.8170 0.1830 0.6250
0.5000 0.5000 0.2500
0.5000 0.5000 0.7500
0.5000 0.5000 0.0000
0.5000 0.5000 0.5000
0.8537 0.1463 0.8750
0.1463 0.8537 0.6250
0.8537 0.1463 0.3750
0.1463 0.8537 0.1250
0.2493 0.7507 0.0313
0.2493 0.7507 0.5313
0.7507 0.2493 0.2813
0.7507 0.2493 0.7813
0.7507 0.2493 0.4687
0.7507 0.2493 0.9687
0.2493 0.7507 0.2187
0.2493 0.7507 0.7187
0.1856 0.2692 0.3750
0.1857 0.2692 0.8750
0.8144 0.7308 0.1250
0.8143 0.7308 0.6250
0.7308 0.8144 0.3750
0.7308 0.8143 0.8750
0.2692 0.1856 0.1250
0.2692 0.1857 0.6250

Entry 4:
Na2CrO4 GGA+U relaxed; theoretical density = 2.2 g cm⁻³; calculated total energy = -82.13 eV per cell; calculated volume = 17.6 Å³ per atom
1.0
5.5638 0.0000 0.0000
2.3672 5.2561 0.0000
2.5737 0.0064 8.4291
Na Cr O
4 2 8
direct
0.0970 0.2200 0.1452
0.2720 0.7463 0.4373
0.7280 0.2537 0.5627
0.9030 0.7800 0.8548
0.2029 0.2040 0.7458
0.7971 0.7960 0.2542
0.0414 0.6836 0.0889
0.1170 0.0238 0.6529
0.2306 0.4510 0.6320
0.4976 0.9633 0.2154
0.5024 0.0367 0.7846
0.7694 0.5490 0.3680
0.8830 0.9762 0.3471
0.9586 0.3164 0.9111

Entry 5:
Na4CrO3 GGA+U relaxed; theoretical density = 2.5 g cm⁻³; energy above the most stable polymorph in this dataset = 45 meV per atom; calculated total energy = -75.67 eV per cell; calculated volume = 15.7 Å³ per atom
1.0
5.4438 -2.9161 0.0000
5.4438 2.9161 0.0000
-3.9205 0.0000 7.9026
Na Cr O
8 2 6
direct
0.0429 0.3444 0.4052
0.1498 0.8502 0.5000
0.3444 0.0429 0.9052
0.3823 0.7806 0.1823
0.6190 0.9421 0.5853
0.7806 0.3823 0.6823
0.8502 0.1498 0.0000
0.9421 0.6190 0.0853
0.2616 0.5602 0.7927
0.5602 0.2616 0.2927
0.0285 0.8774 0.7386
0.2294 0.2567 0.6863
0.2567 0.2294 0.1863
0.5563 0.5742 0.4196
0.5742 0.5563 0.9196
0.8774 0.0285 0.2386